LuTlSe2 meta-GGA r2SCAN optimized geometry; space-group type = R-3m (166); density = 8.0 g/cm3; calculated total energy = -126.2 eV per cell; formation energy = -152 kJ per mole of atoms
1.0
-2.040 -3.533 0.000
-4.079 0.000 0.000
-2.040 -1.178 -7.738
Tl Se Lu
1 2 1
direct
0.500 0.500 0.500
0.733 0.733 0.801
0.267 0.267 0.199
0.000 0.000 0.000